# 1
Here is an optimized crystal structure of La2Fe2S2O3 from the Materials Project database. Energies are from GGA+U.

Unit cell a=9.5321 b=9.5321 c=9.5321 alpha=155.48 beta=155.48 gamma=34.95
Fractional coordinates of all 9 atoms:
La (0.1818, 0.1818, 0.0000)
La (0.8182, 0.8182, 0.0000)
Fe (0.0000, 0.5000, 0.5000)
Fe (0.5000, 0.0000, 0.5000)
S (0.4049, 0.4049, 0.0000)
S (0.5951, 0.5951, 0.0000)
O (0.0000, 0.0000, 0.0000)
O (0.2500, 0.7500, 0.5000)
O (0.7500, 0.2500, 0.5000)

Summary:
As for the space group: No. 139. For the volume, the calculation gives 16.55 Å³ per atom. For the formation energy, the calculation gives -2.421 eV/atom.

# 2
Here is an optimized crystal structure of La3FeWS3O6 from the Materials Project database. Energies are from GGA+U.

Unit cell a=9.5323 b=9.5323 c=5.6093 alpha=90.00 beta=90.00 gamma=120.00
Fractional coordinates of all 28 atoms:
La (0.0888, 0.4081, 0.2500)
La (0.3193, 0.9112, 0.2500)
La (0.4081, 0.3193, 0.7500)
La (0.5919, 0.6807, 0.2500)
La (0.6807, 0.0888, 0.7500)
La (0.9112, 0.5919, 0.7500)
Fe (0.0000, 0.0000, 0.0000)
Fe (0.0000, 0.0000, 0.5000)
W (0.3333, 0.6667, 0.7500)
W (0.6667, 0.3333, 0.2500)
S (0.0459, 0.2294, 0.7500)
S (0.1834, 0.9541, 0.7500)
S (0.2294, 0.1834, 0.2500)
S (0.7706, 0.8166, 0.7500)
S (0.8166, 0.0459, 0.2500)
S (0.9541, 0.7706, 0.2500)
O (0.1611, 0.6342, 0.5242)
O (0.1611, 0.6342, 0.9758)
O (0.3658, 0.5270, 0.5242)
O (0.3658, 0.5270, 0.9758)
O (0.4730, 0.8389, 0.5242)
O (0.4730, 0.8389, 0.9758)
O (0.5270, 0.1611, 0.0242)
O (0.5270, 0.1611, 0.4758)
O (0.6342, 0.4730, 0.0242)
O (0.6342, 0.4730, 0.4758)
O (0.8389, 0.3658, 0.0242)
O (0.8389, 0.3658, 0.4758)

Summary:
As for the space group: No. 176. For the volume, the calculation gives 15.76 Å³ per atom. For the formation energy, the calculation gives -2.652 eV/atom.

# 3
Here is an optimized crystal structure of LaZnFeSbO6 from the Materials Project database. Energies are from GGA+U.

Unit cell a=5.4236 b=5.6878 c=9.7032 alpha=90.00 beta=123.46 gamma=90.00
Fractional coordinates of all 20 atoms:
La (0.0000, 0.2038, 0.0000)
La (0.0000, 0.7962, 0.5000)
Zn (0.5429, 0.2873, 0.4986)
Zn (0.5429, 0.7127, 0.9986)
Fe (0.7624, 0.2517, 0.2461)
Fe (0.7624, 0.7483, 0.7461)
Sb (0.2666, 0.2604, 0.7478)
Sb (0.2666, 0.7396, 0.2478)
O (0.1853, 0.2190, 0.5167)
O (0.1853, 0.7810, 0.0167)
O (0.3988, 0.3012, 0.9852)
O (0.3988, 0.6988, 0.4852)
O (0.5142, 0.0432, 0.3149)
O (0.5142, 0.9568, 0.8149)
O (0.6087, 0.4721, 0.8171)
O (0.6087, 0.5279, 0.3171)
O (0.9013, 0.0681, 0.6838)
O (0.9013, 0.9319, 0.1838)
O (0.9868, 0.4715, 0.1807)
O (0.9868, 0.5285, 0.6807)

Summary:
As for the space group: No. 7. For the volume, the calculation gives 12.49 Å³ per atom. For the formation energy, the calculation gives -2.274 eV/atom.

# 4
Here is an optimized crystal structure of La2Fe2Se2O3 from the Materials Project database. Energies are from GGA+U.

Unit cell a=9.9270 b=9.9270 c=9.9270 alpha=156.04 beta=156.04 gamma=34.15
Fractional coordinates of all 9 atoms:
La (0.1863, 0.1863, 0.0000)
La (0.8137, 0.8137, 0.0000)
Fe (0.0000, 0.5000, 0.5000)
Fe (0.5000, 0.0000, 0.5000)
Se (0.4021, 0.4021, 0.0000)
Se (0.5979, 0.5979, 0.0000)
O (0.0000, 0.0000, 0.0000)
O (0.2500, 0.7500, 0.5000)
O (0.7500, 0.2500, 0.5000)

Summary:
As for the space group: No. 139. For the volume, the calculation gives 17.91 Å³ per atom. For the formation energy, the calculation gives -2.283 eV/atom.

# 5
Here is an optimized crystal structure of LaSm3Fe4O12 from the Materials Project database. Energies are from GGA+U.

Unit cell a=5.4760 b=7.8247 c=5.6963 alpha=90.00 beta=90.06 gamma=90.00
Fractional coordinates of all 20 atoms:
La (0.0000, 0.0000, 0.0000)
Sm (0.0267, 0.5000, 0.1150)
Sm (0.4981, 0.5000, 0.6115)
Sm (0.5267, 0.0000, 0.4915)
Fe (0.0111, 0.2520, 0.5527)
Fe (0.0111, 0.7480, 0.5527)
Fe (0.5124, 0.2527, 0.0508)
Fe (0.5124, 0.7473, 0.0508)
O (0.1120, 0.0000, 0.5746)
O (0.2103, 0.3046, 0.8522)
O (0.2103, 0.6954, 0.8522)
O (0.3105, 0.3039, 0.3500)
O (0.3105, 0.6961, 0.3500)
O (0.4277, 0.0000, 0.0832)
O (0.6149, 0.5000, 0.0156)
O (0.7058, 0.2009, 0.7457)
O (0.7058, 0.7991, 0.7457)
O (0.8097, 0.2041, 0.2540)
O (0.8097, 0.7959, 0.2540)
O (0.9108, 0.5000, 0.5193)

Summary:
As for the space group: No. 6. For the volume, the calculation gives 12.20 Å³ per atom. For the formation energy, the calculation gives -2.806 eV/atom.

# 6
Here is an optimized crystal structure of SrLaFeSnO6 from the Materials Project database. Energies are from GGA+U.

Unit cell a=8.0635 b=8.0872 c=8.0817 alpha=90.54 beta=90.10 gamma=90.11
Fractional coordinates of all 40 atoms:
Sr (0.2496, 0.0168, 0.9889)
O (0.0451, 0.2920, 0.9972)
Sr (0.7496, 0.9889, 0.5168)
O (0.0411, 0.4975, 0.7216)
O (0.2531, 0.2725, 0.2976)
La (0.2503, 0.0151, 0.4732)
O (0.9594, 0.7223, 0.0022)
O (0.2474, 0.1966, 0.7129)
La (0.2503, 0.5151, 0.9732)
O (0.9594, 0.2223, 0.5022)
O (0.5411, 0.2217, 0.4975)
O (0.0451, 0.7920, 0.4972)
O (0.7474, 0.2130, 0.1966)
O (0.2531, 0.7725, 0.7976)
O (0.0411, 0.9975, 0.2216)
O (0.7474, 0.7130, 0.6966)
O (0.5452, 0.9972, 0.7921)
Sn (0.9998, 0.7517, 0.7477)
O (0.4546, 0.7917, 0.5031)
Sr (0.2496, 0.5168, 0.4889)
La (0.7503, 0.4733, 0.5150)
O (0.5452, 0.4972, 0.2921)
O (0.5411, 0.7217, 0.9975)
La (0.7503, 0.9733, 0.0150)
Sn (0.4998, 0.7477, 0.2517)
O (0.2474, 0.6966, 0.2129)
O (0.9545, 0.5031, 0.2918)
Fe (0.4995, 0.7507, 0.7485)
O (0.7531, 0.7976, 0.2725)
Fe (0.9995, 0.2485, 0.7507)
Sn (0.9998, 0.2517, 0.2477)
Fe (0.9995, 0.7485, 0.2507)
O (0.4593, 0.0022, 0.2223)
Sn (0.4998, 0.2477, 0.7517)
O (0.4546, 0.2917, 0.0031)
O (0.7531, 0.2976, 0.7725)
O (0.9545, 0.0031, 0.7918)
Fe (0.4995, 0.2507, 0.2485)
Sr (0.7496, 0.4889, 0.0168)
O (0.4593, 0.5022, 0.7223)

Summary:
For the volume, the calculation gives 13.17 Å³ per atom. For the formation energy, the calculation gives -2.731 eV/atom.

# 7
Here is an optimized crystal structure of SrLa2Fe3O9 from the Materials Project database. Energies are from GGA+U.

Unit cell a=13.7099 b=5.5574 c=9.6742 alpha=90.00 beta=90.44 gamma=90.00
Fractional coordinates of all 60 atoms:
Sr (0.2486, 0.0058, 0.4983)
Sr (0.2486, 0.4942, 0.9983)
Sr (0.7514, 0.5058, 0.0017)
Sr (0.7514, 0.9942, 0.5017)
La (0.0850, 0.5042, 0.6628)
La (0.0850, 0.9958, 0.1628)
La (0.4193, 0.9997, 0.8299)
La (0.4193, 0.5003, 0.3299)
La (0.5807, 0.0003, 0.1701)
La (0.5807, 0.4997, 0.6701)
La (0.9150, 0.0042, 0.8372)
La (0.9150, 0.4958, 0.3372)
Fe (0.0000, 0.0000, 0.5000)
Fe (0.0000, 0.5000, 0.0000)
Fe (0.1680, 0.0003, 0.8333)
Fe (0.1680, 0.4997, 0.3333)
Fe (0.3310, 0.0002, 0.1661)
Fe (0.3310, 0.4998, 0.6661)
Fe (0.5000, 0.0000, 0.5000)
Fe (0.5000, 0.5000, 0.0000)
Fe (0.6690, 0.9998, 0.8339)
Fe (0.6690, 0.5002, 0.3339)
Fe (0.8320, 0.9997, 0.1667)
Fe (0.8320, 0.5003, 0.6667)
O (0.0574, 0.0046, 0.6926)
O (0.0574, 0.4954, 0.1926)
O (0.0891, 0.2356, 0.9446)
O (0.0891, 0.2644, 0.4446)
O (0.0959, 0.7477, 0.9411)
O (0.0959, 0.7523, 0.4411)
O (0.2329, 0.2383, 0.2289)
O (0.2329, 0.2617, 0.7289)
O (0.2378, 0.7455, 0.2232)
O (0.2378, 0.7545, 0.7232)
O (0.2759, 0.0046, 0.9740)
O (0.2759, 0.4954, 0.4740)
O (0.3986, 0.0039, 0.3520)
O (0.3986, 0.4961, 0.8520)
O (0.4285, 0.2432, 0.6127)
O (0.4285, 0.2568, 0.1127)
O (0.4329, 0.7382, 0.6057)
O (0.4329, 0.7618, 0.1057)
O (0.5671, 0.2382, 0.8943)
O (0.5671, 0.2618, 0.3943)
O (0.5715, 0.7432, 0.8873)
O (0.5715, 0.7568, 0.3873)
O (0.6014, 0.5039, 0.1480)
O (0.6014, 0.9961, 0.6480)
O (0.7241, 0.5046, 0.5260)
O (0.7241, 0.9954, 0.0260)
O (0.7622, 0.2455, 0.2768)
O (0.7622, 0.2545, 0.7768)
O (0.7671, 0.7383, 0.2711)
O (0.7671, 0.7617, 0.7711)
O (0.9041, 0.2477, 0.5589)
O (0.9041, 0.2523, 0.0589)
O (0.9109, 0.7356, 0.5554)
O (0.9109, 0.7644, 0.0554)
O (0.9426, 0.5046, 0.8074)
O (0.9426, 0.9954, 0.3074)

Summary:
As for the space group: No. 14. For the volume, the calculation gives 12.28 Å³ per atom. For the formation energy, the calculation gives -2.631 eV/atom.

# 8
Here is an optimized crystal structure of SrLaVFeO6 from the Materials Project database. Energies are from GGA+U.

Unit cell a=5.5304 b=5.5673 c=9.6299 alpha=90.01 beta=106.27 gamma=119.45
Fractional coordinates of all 20 atoms:
Sr (0.0000, 0.0000, 0.0000)
Sr (0.0075, 0.4976, 0.5047)
La (0.4889, 0.2438, 0.7486)
La (0.4975, 0.7471, 0.2451)
V (0.7477, 0.8689, 0.6249)
V (0.7555, 0.3760, 0.1283)
Fe (0.2496, 0.1215, 0.3741)
Fe (0.2513, 0.6221, 0.8771)
O (0.0245, 0.2614, 0.7327)
O (0.0355, 0.7654, 0.2297)
O (0.0393, 0.7889, 0.7373)
O (0.0634, 0.2954, 0.2375)
O (0.4617, 0.4734, 0.0200)
O (0.4751, 0.9649, 0.5165)
O (0.4818, 0.9765, 0.0265)
O (0.4910, 0.4685, 0.5302)
O (0.5526, 0.7739, 0.7762)
O (0.5766, 0.2756, 0.2759)
O (0.9157, 0.4600, 0.9682)
O (0.9301, 0.9573, 0.4647)

Summary:
As for the space group: No. 1. For the volume, the calculation gives 12.22 Å³ per atom. Its energy relative to the lowest polymorph listed for this composition is 11 meV/atom. For the formation energy, the calculation gives -2.839 eV/atom.

# 9
Here is an optimized crystal structure of SrLaVFeO6 from the Materials Project database. Energies are from GGA+U.

Unit cell a=5.5407 b=5.5407 c=9.5910 alpha=105.81 beta=105.81 gamma=60.75
Fractional coordinates of all 20 atoms:
Sr (0.2500, 0.7500, 0.5000)
Sr (0.7500, 0.2500, 0.0000)
La (0.4969, 0.9995, 0.2486)
La (0.9995, 0.4969, 0.7486)
V (0.3747, 0.8745, 0.8746)
V (0.8745, 0.3747, 0.3746)
Fe (0.1249, 0.6255, 0.1252)
Fe (0.6255, 0.1249, 0.6252)
O (0.0008, 0.0032, 0.2509)
O (0.0032, 0.0008, 0.7509)
O (0.2484, 0.2506, 0.4995)
O (0.2506, 0.2484, 0.9995)
O (0.2560, 0.7569, 0.9991)
O (0.4959, 0.9967, 0.7534)
O (0.5010, 0.5028, 0.7512)
O (0.5028, 0.5010, 0.2512)
O (0.7474, 0.7517, 0.0002)
O (0.7517, 0.7474, 0.5002)
O (0.7569, 0.2560, 0.4991)
O (0.9967, 0.4959, 0.2534)

Summary:
As for the space group: No. 9. For the volume, the calculation gives 12.19 Å³ per atom. Its energy relative to the lowest polymorph listed for this composition is 0 meV/atom. For the formation energy, the calculation gives -2.850 eV/atom.

# 10
Here is an optimized crystal structure of SrLaVFeO6 from the Materials Project database. Energies are from GGA+U.

Unit cell a=5.5364 b=5.5626 c=9.6413 alpha=90.03 beta=106.53 gamma=119.81
Fractional coordinates of all 20 atoms:
Sr (0.0000, 0.0000, 0.0000)
Sr (0.0002, 0.4987, 0.5024)
La (0.4963, 0.2395, 0.7547)
La (0.5001, 0.7516, 0.2480)
V (0.2495, 0.6236, 0.8761)
V (0.2511, 0.1256, 0.3771)
Fe (0.7482, 0.8724, 0.6242)
Fe (0.7529, 0.3770, 0.1290)
O (0.0020, 0.2512, 0.7535)
O (0.0028, 0.0000, 0.4986)
O (0.0056, 0.2490, 0.2545)
O (0.0057, 0.7583, 0.2532)
O (0.0088, 0.7516, 0.7531)
O (0.0111, 0.5060, 0.0021)
O (0.4951, 0.0002, 0.4987)
O (0.4946, 0.7511, 0.7531)
O (0.4957, 0.4910, 0.5009)
O (0.4985, 0.2493, 0.2545)
O (0.4979, 0.5056, 0.0021)
O (0.5007, 0.0018, 0.9991)

Summary:
As for the space group: No. 1. For the volume, the calculation gives 12.17 Å³ per atom. Its energy relative to the lowest polymorph listed for this composition is 5 meV/atom. For the formation energy, the calculation gives -2.845 eV/atom.

# 11
Here is an optimized crystal structure of SrLaVFeO6 from the Materials Project database. Energies are from GGA+U.

Unit cell a=12.5229 b=12.5229 c=12.5229 alpha=154.45 beta=154.45 gamma=36.44
Fractional coordinates of all 30 atoms:
Sr (0.0000, 0.0000, 0.0000)
Sr (0.3333, 0.3333, 0.0000)
Sr (0.6667, 0.6667, 0.0000)
La (0.1669, 0.1669, 0.0000)
La (0.5000, 0.5000, 0.0000)
La (0.8331, 0.8331, 0.0000)
V (0.0829, 0.5829, 0.5000)
V (0.2500, 0.7500, 0.5000)
V (0.4171, 0.9171, 0.5000)
Fe (0.5834, 0.0834, 0.5000)
Fe (0.7500, 0.2500, 0.5000)
Fe (0.9166, 0.4166, 0.5000)
O (0.0007, 0.5007, 0.5000)
O (0.0049, 0.5049, 0.0097)
O (0.0049, 0.9951, 0.5000)
O (0.1666, 0.6666, 0.5000)
O (0.1731, 0.1635, 0.5024)
O (0.1731, 0.6707, 0.0096)
O (0.3293, 0.3389, 0.5024)
O (0.3293, 0.8269, 0.9904)
O (0.3334, 0.8334, 0.5000)
O (0.4951, 0.5049, 0.5000)
O (0.4951, 0.9951, 0.9903)
O (0.4993, 0.9993, 0.5000)
O (0.6611, 0.1635, 0.9904)
O (0.6611, 0.6707, 0.4976)
O (0.6666, 0.1666, 0.5000)
O (0.8334, 0.3334, 0.5000)
O (0.8365, 0.3389, 0.0096)
O (0.8365, 0.8269, 0.4976)

Summary:
As for the space group: No. 119. For the volume, the calculation gives 12.16 Å³ per atom. Its energy relative to the lowest polymorph listed for this composition is 9 meV/atom. For the formation energy, the calculation gives -2.841 eV/atom.

# 12
Here is an optimized crystal structure of SrLaVFeO6 from the Materials Project database. Energies are from GGA+U.

Unit cell a=5.5824 b=5.5824 c=7.8350 alpha=90.00 beta=90.00 gamma=90.67
Fractional coordinates of all 20 atoms:
Sr (0.0000, 0.5000, 0.2478)
Sr (0.5000, 0.0000, 0.7522)
La (0.0000, 0.5000, 0.7566)
La (0.5000, 0.0000, 0.2434)
V (0.0000, 0.0000, 0.0000)
V (0.5000, 0.5000, 0.5000)
Fe (0.0000, 0.0000, 0.5000)
Fe (0.5000, 0.5000, 0.0000)
O (0.0000, 0.0000, 0.2434)
O (0.0000, 0.0000, 0.7566)
O (0.2467, 0.7533, 0.0000)
O (0.2480, 0.2480, 0.0000)
O (0.2498, 0.7502, 0.5000)
O (0.2571, 0.2571, 0.5000)
O (0.5000, 0.5000, 0.2521)
O (0.5000, 0.5000, 0.7479)
O (0.7429, 0.7429, 0.5000)
O (0.7502, 0.2498, 0.5000)
O (0.7520, 0.7520, 0.0000)
O (0.7533, 0.2467, 0.0000)

Summary:
As for the space group: No. 21. For the volume, the calculation gives 12.21 Å³ per atom. Its energy relative to the lowest polymorph listed for this composition is 4 meV/atom. For the formation energy, the calculation gives -2.846 eV/atom.

| no. | magnetization (Bohr magnetons per cell) |
| --- | --- |
| 1 | 8.00 |
| 2 | 0.00 |
| 3 | 8.00 |
| 4 | 0.00 |
| 5 | 20.00 |
| 6 | 0.00 |
| 7 | 56.00 |
| 8 | 0.71 |
| 9 | 0.00 |
| 10 | 10.00 |
| 11 | 18.00 |
| 12 | 12.03 |